## Na12Ca10Ta2Si3S15O72 (GGA-PBE)

Data for a geometry-optimized Na12Ca10Ta2Si3S15O72 structure.

Results
ΔH_f (0 K)   -2.51 eV/atom
Symmetry   P1, No. 1

Cell: 9.2642 9.2974 23.6553 Å, 90.17 89.98 119.80°
With the nearest neighbours (Å) after each atom.
Fractional positions:
O 0.2024 0.0261 0.5875  1 S 1.49
O 0.4972 0.1515 0.2500  1 Si 1.62
O 0.6684 0.5331 0.2482  1 S 1.46
O 0.3189 0.8667 0.9682  1 S 1.47
O 0.1392 0.6547 0.3626  1 S 1.52
O 0.6507 0.5310 0.6309  1 S 1.47
O 0.8796 0.3666 0.9140  1 S 1.48
O 0.8798 0.5120 0.4141  1 S 1.48
O 0.8721 0.3477 0.2456  1 S 1.46
O 0.3410 0.8475 0.8660  1 S 1.55
O 0.5005 0.8220 0.7671  1 Si 1.82, 1 Ta 1.83
O 0.7844 0.7773 0.3070  1 S 1.47
O 0.5158 0.8732 0.0782  1 S 1.50
O 0.7880 0.8108 0.9079  1 S 1.46
O 0.6488 0.1203 0.1331  1 S 1.47
O 0.3247 0.4525 0.4777  1 Si 1.61
O 0.2177 0.0113 0.3087  1 Si 1.61
O 0.4748 0.1253 0.6312  1 S 1.47
O 0.6830 0.5587 0.5287  1 S 1.49
O 0.3226 0.8181 0.2671  1 Si 1.76, 1 Ta 1.90
O 0.2061 0.2516 0.6994  1 S 1.48
O 0.4876 0.1149 0.9128  1 S 1.47
O 0.7451 0.9558 0.6890  1 Si 1.63
O 0.8683 0.5484 0.0311  1 S 1.47
O 0.3401 0.5004 0.3653  1 Si 1.74, 1 Ta 1.93
O 0.6897 0.1405 0.0314  1 S 1.48
O 0.4454 0.3115 0.0317  1 S 1.48
O 0.8851 0.5323 0.1332  1 S 1.47
O 0.8668 0.5334 0.7481  1 S 1.46
O 0.8104 0.0145 0.8019  1 Si 1.58
O 0.8824 0.3449 0.6344  1 S 1.46
O 0.6269 0.5091 0.9116  1 S 1.47
O 0.2078 0.9554 0.1927  1 Si 1.64
O 0.4612 0.3504 0.1335  1 S 1.46
O 0.5165 0.6553 0.5807  1 S 1.52
O 0.5097 0.3668 0.4115  1 Si 1.66
O 0.2191 0.2034 0.8004  1 S 1.45
O 0.5041 0.8534 0.3655  1 S 1.53
O 0.1419 0.6952 0.4637  1 S 1.45
O 0.4453 0.1320 0.5290  1 S 1.50
O 0.9921 0.7838 0.8037  1 S 1.45
O 0.1472 0.4882 0.8675  1 S 1.52
O 0.1932 0.1764 0.0863  1 S 1.52
O 0.1640 0.6765 0.7656  1 S 1.56
O 0.0142 0.8090 0.4065  1 S 1.49
O 0.4728 0.3473 0.7471  1 S 1.46
O 0.0513 0.7983 0.7026  1 S 1.47
O 0.1754 0.1806 0.4158  1 Si 1.63
O 0.3344 0.4751 0.0786  1 S 1.50
O 0.0307 0.2134 0.9113  1 S 1.47
O 0.1301 0.4524 0.9700  1 S 1.48
O 0.5469 0.6819 0.9656  1 S 1.46
O 0.6554 0.1528 0.7493  1 Si 1.61
O 0.9851 0.1777 0.5871  1 S 1.52
O 0.9895 0.8029 0.0853  1 S 1.50
O 0.5456 0.8608 0.4680  1 S 1.47
O 0.1365 0.6481 0.0792  1 S 1.52
O 0.1686 0.4818 0.2613  1 S 1.56
O 0.8688 0.3127 0.5324  1 S 1.48
O 0.0411 0.2485 0.1977  1 S 1.48
O 0.7803 0.9591 0.4074  1 S 1.47
O 0.3560 0.8716 0.5795  1 S 1.50
O 0.6285 0.1135 0.4148  1 S 1.48
O 0.5089 0.6560 0.8641  1 S 1.55
O 0.5145 0.6791 0.2628  1 S 1.55
O 0.1376 0.4777 0.5822  1 S 1.50
O 0.9833 0.2062 0.2990  1 S 1.45
O 0.8178 0.8060 0.5860  1 S 1.49
O 0.3107 0.4822 0.7648  1 S 1.57
O 0.7584 0.8027 0.2049  1 S 1.47
O 0.1844 0.9701 0.9079  1 S 1.46
O 0.8230 0.0251 0.0874  1 S 1.50
Ca 0.0045 0.9876 0.1598  4 O 2.19-2.44
Ca 0.3217 0.6580 0.5160  6 O 2.13-2.38
Ca 0.6698 0.3315 0.6880  6 O 2.16-2.38
Ca 0.6562 0.3282 0.1876  6 O 2.16-2.40
Ca 0.6694 0.3355 0.4798  6 O 2.31-2.44
Ca 0.3400 0.6676 0.0151  6 O 2.19-2.35
Ca 0.6661 0.3360 0.9768  6 O 2.32-2.42
Ca 0.9875 0.9891 0.6608  4 O 2.21-2.44
Ca 0.9948 0.0046 0.8485  3 O 2.07-2.30
Ca 0.0132 0.0161 0.3468  4 O 2.12-2.37
S 0.9659 0.3303 0.5842  4 O 1.46-1.52
S 0.6177 0.9491 0.4149  4 O 1.47-1.53
S 0.6222 0.6653 0.9136  4 O 1.46-1.55
S 0.0448 0.3775 0.9159  4 O 1.47-1.52
S 0.6903 0.6991 0.2554  4 O 1.46-1.55
S 0.6699 0.0401 0.0825  4 O 1.47-1.50
S 0.0430 0.6662 0.4128  4 O 1.45-1.52
S 0.3639 0.3305 0.0828  4 O 1.46-1.52
S 0.3688 0.0384 0.5822  4 O 1.47-1.50
S 0.3010 0.3118 0.7527  4 O 1.45-1.57
S 0.3325 0.9538 0.9149  4 O 1.46-1.55
S 0.0104 0.6998 0.7548  4 O 1.45-1.56
S 0.0081 0.3121 0.2506  4 O 1.45-1.56
S 0.6697 0.6362 0.5820  4 O 1.47-1.52
S 0.9644 0.6308 0.0823  4 O 1.47-1.52
Si 0.3324 0.3686 0.4190  4 O 1.61-1.74
Si 0.6980 0.0049 0.7499  3 O 1.58-1.63
Si 0.3096 0.9966 0.2529  4 O 1.61-1.76
Na 0.9861 0.9884 0.9962  6 O 2.73-2.84
Na 0.6700 0.9701 0.5951  5 O 2.35-2.61
Na 0.3311 0.6752 0.6688  6 O 2.73-2.84
Na 0.6715 0.3128 0.8269  1 O 2.32
Na 0.0284 0.3326 0.0837  4 O 2.46-2.59
Na 0.3302 0.0503 0.4046  4 O 2.31-2.57
Na 0.3428 0.6815 0.1700  6 O 2.67-2.86
Na 0.2999 0.9698 0.0941  5 O 2.47-2.62
Na 0.3035 0.3371 0.5765  5 O 2.47-2.62
Na 0.6889 0.6543 0.4139  3 O 2.34-2.62
Na 0.0187 0.0246 0.4958  1 O 2.39
Na 0.6403 0.3158 0.3267  2 O 2.31-2.51
Ta 0.3296 0.6577 0.3147  6 O 1.90-2.11
Ta 0.3409 0.6729 0.8145  5 O 1.83-2.03


## Na18Ca8Ta4Si9S9O72 (GGA-PBE)

Data for a geometry-optimized Na18Ca8Ta4Si9S9O72 structure.

Results
ΔH_f (0 K)   -2.63 eV/atom
Symmetry   P1, No. 1

Cell: 9.3547 9.3336 22.9467 Å, 90.52 90.21 119.98°
With the nearest neighbours (Å) after each atom.
Fractional positions:
O 0.1420 0.6414 0.0809  1 Si 1.64
O 0.5009 0.3638 0.7504  1 Si 1.63
O 0.8127 0.0007 0.4133  1 Si 1.59
O 0.6419 0.5240 0.2449  1 S 1.48
O 0.5547 0.8929 0.4839  1 Si 1.58
O 0.3417 0.8748 0.5735  1 S 1.47
O 0.9555 0.1608 0.2918  1 Si 1.60
O 0.4638 0.1140 0.6345  1 S 1.47
O 0.2185 0.0493 0.5771  1 S 1.47
O 0.1164 0.6714 0.4718  1 S 1.45
O 0.5156 0.6907 0.2627  1 S 1.53
O 0.4822 0.3240 0.0275  1 S 1.53
O 0.8884 0.3496 0.6444  1 Si 1.60
O 0.2059 0.9355 0.1863  1 Si 1.64
O 0.7916 0.7896 0.9109  1 S 1.44
O 0.2171 0.1816 0.0751  1 S 1.47
O 0.9729 0.1642 0.5758  1 Si 1.62
O 0.3154 0.8183 0.2673  1 Si 1.74, 1 Ta 1.90
O 0.6360 0.1612 0.4221  1 Si 1.71
O 0.3620 0.4878 0.3647  1 S 1.54
O 0.6322 0.4914 0.9212  1 S 1.55
O 0.5037 0.8230 0.7688  1 Si 1.76, 1 Ta 1.84
O 0.8127 0.0193 0.8047  1 Si 1.59
O 0.7409 0.7916 0.1959  1 S 1.49
O 0.6472 0.1148 0.1321  1 S 1.47
O 0.8339 0.0508 0.0778  1 S 1.48
O 0.3673 0.4838 0.0725  1 S 1.48
O 0.6537 0.5339 0.6414  1 Si 1.60
O 0.8305 0.5030 0.0271  1 Si 1.75, 1 Ta 1.92
O 0.2044 0.2707 0.6903  1 Si 1.64
O 0.6506 0.1448 0.7495  1 Si 1.62
O 0.1254 0.6332 0.3671  1 S 1.56
O 0.4800 0.1533 0.5289  1 S 1.54
O 0.8490 0.7988 0.5758  1 Si 1.63
O 0.8506 0.3615 0.9222  1 S 1.56
O 0.5119 0.3737 0.4151  1 S 1.50
O 0.3506 0.8509 0.8709  1 Si 1.72
O 0.8758 0.5286 0.7490  1 S 1.47
O 0.3066 0.4893 0.7763  1 Si 1.73, 1 Ta 1.91
O 0.1074 0.4792 0.8694  1 S 1.48
O 0.8357 0.3261 0.5283  1 Si 1.77, 1 Ta 1.84
O 0.9671 0.8083 0.0754  1 Si 1.64
O 0.9882 0.2018 0.9132  1 S 1.46
O 0.5388 0.8726 0.0722  1 S 1.48
O 0.0649 0.2694 0.1857  1 Si 1.65
O 0.0009 0.7900 0.4062  1 S 1.45
O 0.1850 0.4908 0.2695  1 Si 1.71
O 0.5557 0.6674 0.9751  1 S 1.47
O 0.5110 0.6340 0.8700  1 S 1.51
O 0.1446 0.5035 0.5772  1 Si 1.62
O 0.6650 0.4993 0.5259  1 Si 1.75, 1 Ta 1.90
O 0.8624 0.4920 0.4185  1 S 1.52
O 0.4964 0.8513 0.3686  1 Si 1.77, 1 Ta 1.91
O 0.1833 0.0013 0.9168  1 Si 1.58
O 0.4943 0.1442 0.2488  1 Si 1.63
O 0.5163 0.1590 0.9257  1 Si 1.73, 1 Ta 1.92
O 0.4669 0.3447 0.1331  1 S 1.47
O 0.8749 0.5384 0.1420  1 Si 1.61
O 0.0530 0.7942 0.6995  1 S 1.49
O 0.3343 0.8918 0.9862  1 Si 1.60
O 0.8632 0.3601 0.2497  1 Si 1.63
O 0.2132 0.2116 0.4071  1 S 1.46
O 0.7398 0.9365 0.6910  1 Si 1.63
O 0.1080 0.4432 0.9745  1 S 1.45
O 0.2191 0.1674 0.7980  1 Si 1.60
O 0.9894 0.7819 0.8032  1 S 1.44
O 0.7953 0.7776 0.2991  1 S 1.45
O 0.5106 0.6545 0.5782  1 Si 1.63
O 0.1994 0.0227 0.2972  1 Si 1.59
O 0.3351 0.4487 0.4700  1 S 1.46
O 0.6754 0.1532 0.0274  1 S 1.53
O 0.1693 0.6828 0.7659  1 S 1.56
Na 0.0193 0.6796 0.5850  3 O 2.36-2.65
Na 0.9882 0.3279 0.7363  3 O 2.35-2.58
Na 0.2967 0.3463 0.5916  5 O 2.41-2.65
Na 0.0195 0.9755 0.9924  2 O 2.25-2.37
Na 0.6751 0.9487 0.5788  5 O 2.38-2.66
Na 0.6625 0.3089 0.3337  5 O 2.40-2.63
Na 0.2884 0.6578 0.1699  3 O 2.42-2.68
Na 0.6437 0.3121 0.8247  2 O 2.34-2.36
Na 0.6822 0.7056 0.0822  2 O 2.34-2.52
Na 0.3308 0.3202 0.2595  6 O 2.57-2.84
Na 0.6461 0.6451 0.7305  2 O 2.30-2.33
Na 0.3394 0.6419 0.6525  2 O 2.31-2.36
Na 0.9574 0.9941 0.4982  3 O 2.33-2.40
Na 0.6722 0.0373 0.2633  2 O 2.35-2.39
Na 0.2737 0.9391 0.0814  5 O 2.35-2.57
Na 0.9959 0.6442 0.2396  2 O 2.31-2.47
Na 0.0304 0.3492 0.0964  3 O 2.26-2.48
Na 0.3676 0.0430 0.7535  2 O 2.33-2.43
Ca 0.0122 0.0127 0.8508  5 O 2.13-2.36
Ca 0.0162 0.0055 0.1585  4 O 2.27-2.51
Ca 0.9990 0.0091 0.3522  6 O 2.17-2.41
Ca 0.3430 0.6689 0.5125  6 O 2.15-2.37
Ca 0.6722 0.3332 0.1856  6 O 2.16-2.36
Ca 0.3252 0.6715 0.0115  4 O 2.10-2.33
Ca 0.9902 0.0113 0.6501  4 O 2.29-2.43
Ca 0.6682 0.3350 0.6824  6 O 2.15-2.41
S 0.0267 0.6522 0.4180  4 O 1.45-1.56
S 0.6734 0.0463 0.0777  4 O 1.47-1.53
S 0.3533 0.3775 0.4158  4 O 1.46-1.54
S 0.0225 0.3721 0.9196  4 O 1.45-1.56
S 0.0140 0.6990 0.7546  4 O 1.44-1.56
S 0.3804 0.3329 0.0781  4 O 1.47-1.53
S 0.6267 0.6550 0.9195  4 O 1.44-1.55
S 0.6801 0.6976 0.2511  4 O 1.45-1.53
S 0.3741 0.0457 0.5793  4 O 1.47-1.54
Si 0.6947 0.9975 0.7515  4 O 1.59-1.76
Si 0.3075 0.3137 0.7522  4 O 1.60-1.73
Si 0.3043 0.9927 0.2492  4 O 1.59-1.74
Si 0.3348 0.9714 0.9249  4 O 1.58-1.73
Si 0.9693 0.3346 0.5849  4 O 1.60-1.77
Si 0.6348 0.9779 0.4241  4 O 1.58-1.77
Si 0.9615 0.6311 0.0828  4 O 1.61-1.75
Si 0.6708 0.6300 0.5820  4 O 1.60-1.75
Si 0.0093 0.3130 0.2488  4 O 1.60-1.71
Ta 0.6696 0.3369 0.9757  6 O 1.92-2.12
Ta 0.3319 0.6758 0.3218  4 O 1.90-2.05
Ta 0.3427 0.6814 0.8187  4 O 1.84-2.03
Ta 0.6762 0.3308 0.4827  3 O 1.84-1.99


## Na3CaTaSi2SO12 (GGA-PBE)

Data for a geometry-optimized Na3CaTaSi2SO12 structure.

Results
ΔH_f (0 K)   -2.70 eV/atom

Cell: 9.2567 9.2567 22.6671 Å, 90.43 89.57 119.84°
With the nearest neighbours (Å) after each atom.
Fractional positions:
O 0.4664 0.1206 0.6446  1 Si 1.58
O 0.1340 0.6379 0.3565  1 Si 1.73, 1 Ta 1.93
O 0.8411 0.4814 0.4225  1 Si 1.69
O 0.9895 0.7745 0.8056  1 S 1.45
O 0.8519 0.8255 0.5891  1 Si 1.69
O 0.6561 0.1079 0.1390  1 S 1.45
O 0.6539 0.5270 0.6386  1 Si 1.56
O 0.5075 0.6373 0.8661  1 S 1.52
O 0.1414 0.5103 0.8621  1 Si 1.77
O 0.6960 0.1592 0.0328  1 S 1.52
O 0.8492 0.3796 0.9241  1 Si 1.70
O 0.7998 0.7873 0.3113  1 Si 1.58
O 0.6954 0.5326 0.5231  1 Si 1.73, 1 Ta 1.93
O 0.0022 0.1899 0.9144  1 Si 1.59
O 0.5599 0.8730 0.0736  1 S 1.45
O 0.9422 0.1462 0.5838  1 S 1.53
O 0.0294 0.8259 0.6994  1 S 1.52
O 0.3627 0.4925 0.3661  1 S 1.52
O 0.6204 0.1508 0.4241  1 Si 1.70
O 0.1824 0.9929 0.9122  1 Si 1.61
O 0.9872 0.1937 0.3053  1 Si 1.56
O 0.2266 0.2064 0.4069  1 S 1.45
O 0.5205 0.3911 0.4171  1 S 1.53
O 0.1745 0.1481 0.0891  1 Si 1.69
O 0.8490 0.3262 0.2455  1 Si 1.61
O 0.0071 0.8176 0.4122  1 Si 1.61
O 0.5186 0.1589 0.9225  1 Si 1.69
O 0.6738 0.1510 0.7455  1 Si 1.61
O 0.4674 0.3046 0.0231  1 Si 1.73, 1 Ta 1.93
O 0.3405 0.4843 0.0789  1 Si 1.61
O 0.4897 0.8586 0.3621  1 Si 1.77
O 0.4747 0.1770 0.5287  1 Si 1.77
O 0.1563 0.1920 0.6954  1 Si 1.77
O 0.4730 0.3461 0.1386  1 Si 1.56
O 0.5157 0.6595 0.5789  1 Si 1.61
O 0.1331 0.4539 0.9779  1 Si 1.58
O 0.9538 0.8175 0.0907  1 Si 1.70
O 0.8230 0.5253 0.0287  1 Si 1.77
O 0.6688 0.5232 0.2478  1 Si 1.59
O 0.1435 0.6645 0.0811  1 Si 1.59
O 0.3228 0.4412 0.4723  1 S 1.45
O 0.8063 0.0128 0.8053  1 Si 1.56
O 0.1825 0.0462 0.5907  1 Si 1.70
O 0.1872 0.7245 0.7504  1 S 1.53
O 0.1741 0.9706 0.1994  1 S 1.52
O 0.8933 0.5397 0.7403  1 S 1.45
O 0.8538 0.0578 0.0838  1 S 1.53
O 0.7936 0.7734 0.9069  1 S 1.45
O 0.8007 0.9712 0.6898  1 Si 1.73, 1 Ta 1.93
O 0.5461 0.8669 0.4779  1 Si 1.58
O 0.8408 0.3040 0.5328  1 S 1.52
O 0.2255 0.0105 0.3056  1 S 1.45
O 0.3205 0.8604 0.9720  1 Si 1.56
O 0.8080 0.8437 0.1954  1 Si 1.77
O 0.6089 0.4795 0.9171  1 S 1.53
O 0.8101 0.9978 0.4144  1 Si 1.59
O 0.8921 0.3439 0.6390  1 S 1.45
O 0.8794 0.5336 0.1446  1 Si 1.58
O 0.4603 0.1067 0.2403  1 S 1.45
O 0.1270 0.4401 0.5736  1 S 1.45
O 0.3355 0.8565 0.5811  1 Si 1.59
O 0.5158 0.7129 0.2574  1 Si 1.70
O 0.2755 0.8128 0.2504  1 S 1.53
O 0.3621 0.8660 0.8565  1 Si 1.73, 1 Ta 1.93
O 0.5588 0.6772 0.9723  1 S 1.45
O 0.4768 0.3312 0.7478  1 Si 1.59
O 0.5078 0.8148 0.7558  1 Si 1.69
O 0.1852 0.4922 0.2558  1 Si 1.69
O 0.1396 0.6795 0.4720  1 Si 1.56
O 0.0288 0.1993 0.1898  1 Si 1.73, 1 Ta 1.93
O 0.2871 0.4842 0.7574  1 Si 1.70
O 0.2127 0.2002 0.8113  1 Si 1.58
Na 0.9669 0.6152 0.2421  4 O 2.33-2.52
Na 0.6804 0.0214 0.2571  4 O 2.47-2.70
Na 0.6453 0.6529 0.0905  4 O 2.47-2.70
Na 0.3107 0.6382 0.1607  4 O 2.43-2.71
Na 0.6336 0.9485 0.5754  4 O 2.33-2.52
Na 0.0137 0.6881 0.9238  4 O 2.47-2.70
Na 0.7182 0.6998 0.4088  4 O 2.33-2.52
Na 0.0515 0.3664 0.0754  4 O 2.33-2.52
Na 0.3618 0.6893 0.6607  4 O 2.43-2.71
Na 0.9774 0.9715 0.4940  4 O 2.43-2.71
Na 0.9786 0.3196 0.7571  4 O 2.47-2.70
Na 0.3848 0.0331 0.7421  4 O 2.33-2.52
Na 0.3002 0.2818 0.9088  4 O 2.33-2.52
Na 0.3471 0.3547 0.5905  4 O 2.47-2.70
Na 0.6440 0.3049 0.8274  4 O 2.43-2.71
Na 0.0285 0.0226 0.9940  4 O 2.43-2.71
Na 0.6951 0.3560 0.3274  4 O 2.43-2.71
Na 0.3119 0.9863 0.4238  4 O 2.47-2.70
Si 0.0288 0.6560 0.4172  4 O 1.56-1.73
Si 0.6271 0.9712 0.4200  4 O 1.58-1.77
Si 0.3621 0.0395 0.5867  4 O 1.58-1.77
Si 0.2938 0.3046 0.7534  4 O 1.58-1.77
Si 0.6954 0.7062 0.2534  4 O 1.58-1.77
Si 0.0288 0.3729 0.9200  4 O 1.58-1.77
Si 0.3440 0.9712 0.9172  4 O 1.56-1.73
Si 0.0107 0.3045 0.2505  4 O 1.56-1.73
Si 0.3621 0.3226 0.0838  4 O 1.56-1.73
Si 0.9605 0.6379 0.0867  4 O 1.58-1.77
Si 0.6955 0.9893 0.7505  4 O 1.56-1.73
Si 0.6774 0.6379 0.5838  4 O 1.56-1.73
Ta 0.0005 0.0052 0.1471  5 O 1.93-2.15
Ta 0.6671 0.3385 0.4805  5 O 1.93-2.15
Ta 0.6615 0.3329 0.9805  5 O 1.93-2.15
Ta 0.3338 0.6719 0.8138  5 O 1.93-2.15
Ta 0.9948 0.9995 0.6471  5 O 1.93-2.15
Ta 0.3281 0.6662 0.3138  5 O 1.93-2.15
S 0.6832 0.0469 0.0833  4 O 1.45-1.53
S 0.3499 0.3802 0.4166  4 O 1.45-1.53
S 0.6198 0.6501 0.9166  4 O 1.45-1.53
S 0.0166 0.7136 0.7500  4 O 1.45-1.53
S 0.2864 0.9834 0.2500  4 O 1.45-1.53
S 0.9531 0.3168 0.5833  4 O 1.45-1.53
Ca 0.9975 0.0068 0.3517  4 O 2.07-2.27
Ca 0.6599 0.3358 0.1850  4 O 2.07-2.27
Ca 0.6642 0.3401 0.6850  4 O 2.07-2.27
Ca 0.3308 0.6735 0.0184  4 O 2.07-2.27
Ca 0.9932 0.0025 0.8517  4 O 2.07-2.27
Ca 0.3265 0.6692 0.5184  4 O 2.07-2.27


| no. | calculated volume (Å³ per atom) |
| --- | --- |
| 1 | 15.51 |
| 2 | 14.46 |
| 3 | 14.04 |